Record 1
Below is a relaxed Li7Mn4CoO12 crystal, with properties calculated at the PBE with a Hubbard U level.

Structure (POSCAR):
```
Li7Mn4CoO12
1.0
5.1110 0.0000 0.0000
-1.6856 5.5783 0.0000
-0.7464 -1.7352 7.6178
Li Mn Co O
7 4 1 12
Cartesian
0.0000 0.0000 0.0000
-1.5840 2.5525 4.9150
-0.7554 1.2718 2.3871
-0.7234 -0.2158 4.9101
1.7322 2.0085 1.2025
3.4358 0.9948 7.5948
3.4588 4.0358 2.4284
0.9383 1.7783 6.2469
0.8730 4.8173 1.1954
1.7886 -0.9810 6.2522
0.9788 3.2958 3.6948
1.7730 0.5335 3.6001
0.9705 0.1779 1.7738
-0.6327 2.8406 6.7544
0.2233 0.0553 6.7401
0.1707 1.6524 4.4266
0.1380 3.1190 1.9691
-0.5681 4.3237 4.4501
2.4059 3.8128 0.3748
1.6491 3.5166 5.5820
3.3210 0.9123 0.3945
2.5002 0.7387 5.7149
2.5261 2.3388 3.1561
3.4882 -0.6380 3.1552
```



Record 2
Below is a relaxed Li5MnCo2O8 crystal, with properties calculated at the PBE with a Hubbard U level.

Structure (POSCAR):
```
Li5MnCo2O8
1.0
5.1041 0.0000 0.0000
0.0000 2.9162 0.0000
-1.8704 0.0000 9.5861
Li Mn Co O
5 1 2 8
Cartesian
0.0000 0.0000 0.0000
-0.9352 1.4581 4.7931
-0.1427 0.0000 7.2575
2.5520 1.4581 0.0000
3.3764 0.0000 2.3286
1.6168 0.0000 4.7931
0.7192 1.4581 2.2413
2.5145 1.4581 7.3448
-1.0771 1.4581 8.2744
0.0910 0.0000 3.6142
1.6444 0.0000 1.3170
0.8712 1.4581 5.8619
2.3625 1.4581 3.7243
1.5893 0.0000 8.2691
3.1427 0.0000 5.9719
4.3108 1.4581 1.3117
```



Record 3
Below is a relaxed Li3MnCoO5 crystal, with properties calculated at the PBE with a Hubbard U level.

Structure (POSCAR):
```
Li3MnCoO5
1.0
12.1184 -1.4633 0.0000
12.1184 1.4633 0.0000
-0.3717 0.0000 5.1803
Li Mn Co O
6 2 2 10
Cartesian
0.0000 0.0000 0.0000
5.0205 0.0000 2.0941
9.7080 0.0000 4.2754
12.1775 0.0000 2.6356
14.5245 0.0000 1.1531
19.6338 0.0000 3.2558
2.3630 0.0000 3.6690
16.8977 0.0000 4.7302
7.6215 0.0000 0.7097
22.1637 0.0000 1.7583
1.5095 0.0000 2.0869
3.9931 0.0000 0.1757
5.8574 0.0000 4.0333
8.5028 0.0000 2.3140
11.0490 0.0000 0.8791
13.4812 0.0000 4.4167
15.7529 0.0000 3.1039
18.2598 0.0000 1.1621
20.3832 0.0000 5.0710
22.9527 0.0000 3.3666
```



Record 4
Below is a relaxed Li5Mn2CoO8 crystal, with properties calculated at the PBE with a Hubbard U level.

Structure (POSCAR):
```
Li5Mn2CoO8
1.0
5.7607 0.0000 0.0000
2.8726 5.0927 0.0000
0.0635 1.7159 9.5927
Li Mn Co O
10 4 2 16
Cartesian
0.0000 0.0000 0.0000
1.4743 2.5534 7.1075
4.3399 5.9514 4.8007
2.9073 3.4090 4.7915
4.3455 4.2776 2.5096
2.8804 0.0000 0.0000
4.3514 2.5310 7.0831
4.3570 0.8572 4.7920
5.7896 3.3996 4.8012
7.2226 4.2553 2.4852
2.8972 5.1896 7.1269
2.9052 1.6091 2.4720
5.7916 5.1996 7.1207
5.7996 1.6191 2.4658
1.4363 2.5464 0.0000
4.3167 2.5464 0.0000
2.9003 5.2080 3.4907
1.4795 2.4539 3.4598
1.4732 0.8943 1.3118
2.8811 3.2147 1.1202
2.8529 3.5909 8.4289
4.3434 5.8769 8.3092
4.3469 4.3371 6.1572
2.9042 1.6004 6.0995
5.7926 5.2083 3.4932
4.3500 2.4716 3.4355
4.3534 0.9317 1.2836
5.8439 3.2177 1.1638
5.8157 3.5939 8.4725
7.2236 5.9143 8.2809
7.2173 4.3548 6.1329
5.7965 1.6007 6.1020
```



no.,formation enthalpy at 0 K (kJ per mole of atoms),energy relative to the lowest polymorph listed for this composition (meV per atom),magnetic moment (μB per cell)
1,-199,20,16.00
2,-177,54,10.00
3,-183,61,14.00
4,-194,27,12.00